(1)
## Mn4P6SN12 (PBE)

Data for crystalline Mn4P6SN12 at its relaxed geometry.

Unit cell a=6.7375 b=6.7375 c=6.7375 alpha=112.33 beta=112.33 gamma=103.89
Fractional positions:
Mn 0.0086 0.0086 0.7924
Mn 0.2162 0.2162 0.2076
Mn 0.7838 0.9914 0.0000
Mn 0.9914 0.7838 0.0000
P 0.0000 0.5000 0.5000
P 0.0490 0.4690 0.0000
P 0.4690 0.0490 0.0000
P 0.5000 0.0000 0.5000
P 0.5310 0.5310 0.5799
P 0.9510 0.9510 0.4201
S 0.5000 0.5000 0.0000
N 0.0152 0.5345 0.7631
N 0.1887 0.1887 0.7153
N 0.2287 0.4655 0.4808
N 0.2521 0.7713 0.2369
N 0.4655 0.2287 0.4808
N 0.4734 0.4734 0.2847
N 0.5266 0.8113 0.0000
N 0.5345 0.0152 0.7631
N 0.7479 0.9848 0.5192
N 0.7713 0.2521 0.2369
N 0.8113 0.5266 0.0000
N 0.9848 0.7479 0.5192

Crystal system = tetragonal
Formation enthalpy at 0 K = 425 meV/atom

=====

(2)
## MnPb3N3 (PBE)

Data for crystalline MnPb3N3 at its relaxed geometry.

Unit cell a=7.5906 b=7.5906 c=5.4191 alpha=90.00 beta=90.00 gamma=120.00
Fractional positions:
Mn 0.3333 0.6667 0.2500
Mn 0.6667 0.3333 0.7500
Pb 0.1035 0.3642 0.7500
Pb 0.2607 0.8965 0.7500
Pb 0.3642 0.2607 0.2500
Pb 0.6358 0.7393 0.7500
Pb 0.7393 0.1035 0.2500
Pb 0.8965 0.6358 0.2500
N 0.1237 0.4262 0.2500
N 0.3025 0.8763 0.2500
N 0.4262 0.3025 0.7500
N 0.5738 0.6975 0.2500
N 0.6975 0.1237 0.7500
N 0.8763 0.5738 0.7500

Crystal system = hexagonal
Formation enthalpy at 0 K = 281 meV/atom

=====

Number 1: magnetization 0.1 μB/cell. Number 2: magnetization 2.6 μB/cell.